<one>
Compound: NaV5O8
Source: the Materials Project database
Functional: PBE+U
Structure: relaxed

Results
- volume (Å³/cell) = 646.84
- largest piezoelectric modulus (C/m2) = 0.000
- SG = No. 212

Cell and atoms, written as extended XYZ:
```
56
Lattice="8.648 0.000 0.000 0.000 8.648 0.000 0.000 0.000 8.648" Properties=species:S:1:pos:R:3 pbc="T T T"
Na 1.081 1.081 1.081
Na 3.243 7.567 5.405
Na 5.405 3.243 7.567
Na 7.567 5.405 3.243
V 8.646 0.002 4.326
V 0.002 4.326 8.646
V 1.075 3.243 3.237
V 1.081 5.411 5.399
V 1.087 7.573 7.567
V 2.160 2.164 6.484
V 2.164 6.484 2.160
V 3.237 1.075 3.243
V 3.243 3.237 1.075
V 3.249 5.405 7.562
V 4.326 8.646 0.002
V 4.322 4.322 4.322
V 5.399 1.081 5.411
V 5.405 7.562 3.249
V 5.411 5.399 1.081
V 6.484 2.160 2.164
V 6.488 6.488 6.488
V 7.562 3.249 5.405
V 7.567 1.087 7.573
V 7.573 7.567 1.087
O 0.934 7.427 0.989
O 0.941 7.421 5.497
O 0.989 0.934 7.427
O 0.997 3.327 5.321
O 1.165 5.489 7.483
O 1.173 3.383 1.228
O 1.221 5.313 3.390
O 1.228 1.173 3.383
O 3.096 7.476 7.707
O 3.103 3.335 7.714
O 3.151 5.265 5.552
O 3.159 3.159 3.159
O 3.327 5.321 0.997
O 3.335 7.714 3.103
O 3.383 1.228 1.173
O 3.390 1.221 5.313
O 5.258 5.545 7.659
O 5.265 5.552 3.151
O 5.313 3.390 1.221
O 5.321 0.997 3.327
O 5.489 7.483 1.165
O 5.497 0.941 7.421
O 5.545 7.659 5.258
O 5.552 3.151 5.265
O 7.421 5.497 0.941
O 7.427 0.989 0.934
O 7.476 7.707 3.096
O 7.483 1.165 5.489
O 7.651 7.651 7.651
O 7.659 5.258 5.545
O 7.707 3.096 7.476
O 7.714 3.103 3.335
```

---

<two>
Compound: NaV5O8
Source: the Materials Project database
Functional: PBE+U
Structure: relaxed

Results
- volume (Å³/cell) = 165.49
- SG = No. 1

Cell and atoms, written as extended XYZ:
```
14
Lattice="3.001 0.000 0.000 -1.452 5.338 0.000 -0.192 -2.433 10.331" Properties=species:S:1:pos:R:3 pbc="T T T"
Na 0.000 0.000 0.000
V -0.075 1.611 3.811
V -0.127 0.412 9.019
V 1.453 2.504 1.323
V 1.391 1.281 6.542
V 2.889 -1.216 5.169
O -0.091 1.282 1.900
O -0.115 -0.004 6.917
O 0.043 3.640 0.664
O -0.071 2.615 5.683
O 1.393 0.296 4.630
O 1.351 -0.712 9.791
O 1.430 2.900 3.377
O 1.383 1.640 8.432
```

---

<three>
Compound: NaV5O8
Source: the Materials Project database
Functional: PBE+U
Structure: relaxed

Results
- volume (Å³/cell) = 329.52

Cell and atoms, written as extended XYZ:
```
28
Lattice="0.000 3.058 0.000 -7.731 -1.529 0.110 3.881 1.529 13.883" Properties=species:S:1:pos:R:3 pbc="T T T"
O -3.912 0.000 9.645
O -1.128 1.529 13.825
O -1.987 0.000 2.649
O -7.142 0.000 2.201
O -1.863 3.058 11.345
O -4.647 1.529 7.165
O -2.514 1.529 4.906
O -2.721 1.529 0.169
O 1.553 3.058 9.439
O -5.403 0.000 4.554
O -4.254 1.529 2.553
O 0.404 1.529 11.441
O 3.292 3.058 11.792
O 0.796 1.529 6.828
O 0.062 3.058 4.348
O -1.335 1.529 9.088
V -3.443 0.000 1.220
V -6.180 1.529 3.077
V 1.518 3.058 5.777
V -0.406 3.058 12.774
V -0.374 3.058 9.964
V -5.369 0.000 8.216
V -2.887 1.529 10.495
V -3.476 0.000 4.030
V 2.330 1.529 10.916
V -0.962 1.529 3.498
Na -3.850 0.000 13.993
Na -1.925 0.000 6.997
```

---

Stability ranking, top and bottom: <one> is the most stable and <two> is the least stable.

---

<one>
Compound: NaV4O10
Source: the Materials Project database
Functional: PBE+U
Structure: relaxed

Results
- volume (Å³/cell) = 203.64
- SG = No. 12

Cell and atoms, written as extended XYZ:
```
15
Lattice="5.891 -1.840 0.000 5.891 1.840 0.000 -1.844 0.000 9.394" Properties=species:S:1:pos:R:3 pbc="T T T"
Na 0.000 0.000 0.000
V 2.266 0.000 6.275
V 4.224 0.000 3.171
V 5.713 0.000 6.223
V 7.671 0.000 3.119
O 0.283 0.000 5.992
O 2.151 0.000 3.543
O 2.575 0.000 7.875
O 4.482 0.000 1.556
O 4.027 0.000 5.598
O 5.911 0.000 3.796
O 5.456 0.000 7.838
O 7.362 0.000 1.519
O 7.787 0.000 5.851
O 9.655 0.000 3.402
```

---

<two>
Compound: NaV4O10
Source: the Materials Project database
Functional: PBE+U
Structure: relaxed

Results
- volume (Å³/cell) = 1214.43
- SG = No. 2

Cell and atoms, written as extended XYZ:
```
90
Lattice="8.355 0.000 0.000 2.900 10.232 0.000 3.166 -0.894 14.206" Properties=species:S:1:pos:R:3 pbc="T T T"
Na 2.874 1.220 7.022
Na 4.424 0.789 13.877
Na 2.149 1.497 3.357
Na 12.271 7.842 10.850
Na 9.996 8.549 0.330
Na 11.546 8.118 7.184
V 5.606 3.448 12.050
V 4.070 3.874 4.961
V 4.988 3.522 8.491
V 3.476 3.897 1.318
V 5.184 6.042 2.959
V 6.897 5.608 10.033
V 7.667 5.311 13.572
V 6.129 5.771 6.496
V 8.451 8.686 9.904
V 7.685 8.867 6.321
V 9.282 8.410 13.425
V 6.904 9.020 2.773
V 7.516 0.318 11.433
V 5.139 0.928 0.781
V 6.735 0.471 7.886
V 5.969 0.652 4.302
V 8.292 3.567 7.710
V 6.753 4.027 0.634
V 7.523 3.730 4.174
V 9.236 3.296 11.247
V 10.944 5.442 12.889
V 9.433 5.816 5.715
V 10.350 5.465 9.245
V 8.815 5.891 2.157
O 3.444 4.520 8.829
O 1.881 5.002 1.767
O 3.990 7.076 3.265
O 5.668 6.631 10.318
O 6.506 6.395 13.901
O 4.949 6.815 6.901
O 3.546 2.294 5.016
O 5.184 1.853 12.038
O 4.395 1.996 8.538
O 2.797 2.359 1.345
O 6.952 9.170 10.263
O 6.143 9.290 6.685
O 7.747 8.830 13.832
O 5.402 9.550 3.120
O 4.122 4.259 3.160
O 5.727 3.848 10.155
O 4.968 4.031 6.657
O 6.563 3.616 13.666
O 5.695 5.320 4.682
O 7.313 4.898 11.716
O 4.960 5.543 1.138
O 6.634 5.089 8.215
O 6.602 7.196 2.746
O 8.257 6.787 9.809
O 9.113 6.400 13.329
O 7.294 -0.014 13.267
O 7.539 6.857 6.218
O 4.971 0.659 2.731
O 6.558 0.226 9.831
O 5.748 0.404 6.160
O 8.672 8.934 8.046
O 7.862 9.113 4.376
O 9.449 8.679 11.475
O 6.881 2.481 7.988
O 7.126 9.353 0.939
O 5.308 2.938 0.878
O 6.163 2.552 4.397
O 7.819 2.142 11.460
O 7.787 4.249 5.991
O 9.460 3.795 13.069
O 7.107 4.441 2.490
O 8.725 4.018 9.524
O 7.857 5.722 0.540
O 9.452 5.308 7.549
O 8.693 5.490 4.051
O 10.298 5.079 11.047
O 9.018 -0.212 11.086
O 6.674 0.508 0.374
O 8.278 0.049 7.521
O 7.468 0.168 3.943
O 11.623 6.979 12.861
O 10.026 7.342 5.668
O 9.236 7.485 2.169
O 10.875 7.044 9.190
O 9.472 2.523 7.305
O 7.915 2.943 0.305
O 8.753 2.708 3.888
O 10.430 2.262 10.942
O 12.539 4.336 12.439
O 10.976 4.819 5.378
```

---

Stability ranking, top and bottom: <two> is the most stable and <one> is the least stable.

---

<one>
Compound: NaV6O13
Source: the Materials Project database
Functional: PBE+U
Structure: relaxed

Results
- volume (Å³/cell) = 462.24
- SG = No. 1

Cell and atoms, written as extended XYZ:
```
40
Lattice="3.729 0.000 0.000 -1.864 11.168 0.000 -0.002 -4.319 11.100" Properties=species:S:1:pos:R:3 pbc="T T T"
Na 0.000 0.000 0.000
Na -0.008 5.900 4.849
V -0.012 0.416 4.821
V -0.024 -0.559 8.349
V -0.016 2.156 7.594
V -0.023 5.506 0.023
V 0.003 5.514 8.832
V 0.005 8.906 1.236
V 1.851 1.284 2.597
V 1.842 -1.573 10.501
V 1.853 3.178 5.446
V 1.842 4.644 2.243
V 1.865 8.189 3.593
V 1.858 7.263 7.093
O -0.003 -1.195 4.321
O -0.012 -2.324 7.678
O -0.018 1.328 3.056
O -0.011 0.290 6.725
O -0.021 -1.062 10.365
O -0.013 2.671 5.573
O -0.017 1.309 9.221
O -0.025 4.599 1.790
O -0.004 3.931 8.249
O -0.016 7.117 0.526
O 0.004 5.252 10.615
O 0.001 8.254 3.200
O 0.000 6.738 7.234
O 1.850 -0.221 1.797
O 1.857 -3.154 10.045
O 1.841 -0.681 8.723
O 1.849 0.914 4.606
O 1.839 2.491 1.247
O 1.839 3.454 3.605
O 1.841 4.999 0.236
O 1.849 2.275 7.231
O 1.849 4.760 5.912
O 1.845 6.156 3.032
O 1.869 6.051 8.697
O 1.865 8.844 1.630
O 1.865 7.512 5.309
```

---

<two>
Compound: NaV6O13
Source: the Materials Project database
Functional: PBE+U
Structure: relaxed

Results
- volume (Å³/cell) = 481.41
- SG = No. 1

Cell and atoms, written as extended XYZ:
```
40
Lattice="3.752 0.000 0.000 -1.876 11.382 0.000 -0.018 -4.452 11.272" Properties=species:S:1:pos:R:3 pbc="T T T"
Na 0.000 0.000 0.000
Na -0.006 5.965 4.936
V -0.021 0.398 4.889
V -0.001 -0.597 8.553
V -0.024 2.107 7.622
V -0.009 5.551 0.028
V -0.013 5.546 8.985
V 0.004 9.000 1.278
V 1.860 1.286 2.636
V 1.853 -1.692 10.654
V 1.856 3.205 5.524
V 1.866 4.669 2.277
V 1.853 7.336 7.268
V 1.943 8.318 3.720
O -0.009 -1.253 4.426
O -0.016 -2.458 7.803
O -0.018 1.294 3.087
O -0.020 0.287 6.871
O -0.022 -1.118 10.546
O -0.020 2.622 5.626
O -0.021 1.199 9.308
O -0.010 4.651 1.835
O -0.017 4.000 8.398
O -0.004 7.191 0.489
O -0.015 8.320 3.254
O -0.018 6.717 7.364
O -0.011 5.366 10.739
O 1.861 -0.207 1.844
O 1.857 -3.304 10.239
O 1.861 -0.817 8.836
O 1.855 0.950 4.647
O 1.863 2.449 1.314
O 1.859 3.496 3.592
O 1.867 4.991 0.272
O 1.854 2.346 7.343
O 1.862 4.820 5.926
O 1.874 6.164 3.067
O 1.843 7.565 5.334
O 1.861 6.084 8.856
O 1.875 9.040 1.657
```

---

Stability ranking, top and bottom: <two> is the most stable and <one> is the least stable.

---

<one>
Compound: Na2W4O13
Source: the Materials Project database
Functional: PBE+U
Structure: relaxed

Results
- volume (Å³/cell) = 277.13
- SG = No. 2

Cell and atoms, written as extended XYZ:
```
19
Lattice="3.852 0.000 0.000 0.007 8.535 0.000 1.914 0.955 8.430" Properties=species:S:1:pos:R:3 pbc="T T T"
Na 0.959 1.732 0.649
Na 4.814 7.758 7.781
W 2.841 5.102 5.847
W 2.919 1.764 5.662
W 2.853 7.726 2.767
W 2.931 4.388 2.583
O 0.947 7.639 2.916
O 0.981 4.504 2.662
O 2.869 6.348 7.115
O 2.909 9.222 7.087
O 2.882 3.389 6.809
O 2.893 3.436 4.265
O 2.883 0.478 4.215
O 2.880 6.054 4.165
O 2.890 6.101 1.621
O 2.863 0.268 1.343
O 2.903 3.142 1.315
O 4.791 4.986 5.768
O 4.826 1.851 5.514
```

---

<two>
Compound: Na2W4O13
Source: the Materials Project database
Functional: PBE+U
Structure: relaxed

Results
- volume (Å³/cell) = 274.78
- SG = No. 2

Cell and atoms, written as extended XYZ:
```
19
Lattice="3.901 0.000 0.000 -0.072 8.435 0.000 -1.906 -0.952 8.350" Properties=species:S:1:pos:R:3 pbc="T T T"
Na -0.012 1.264 3.531
Na 1.935 6.219 4.819
W -0.199 3.630 6.731
W 0.230 0.309 6.915
W 1.694 7.174 1.435
W 2.123 3.853 1.619
O -0.107 7.095 1.298
O 0.022 3.965 1.557
O -0.031 4.838 5.459
O 0.006 7.686 5.506
O 0.016 1.923 5.811
O 0.018 1.965 8.329
O 1.951 0.000 0.000
O 1.905 5.519 0.021
O 1.907 5.560 2.539
O 1.917 -0.202 2.844
O 1.954 2.645 2.891
O 1.901 3.518 6.793
O 2.030 0.389 7.053
```

---

Stability ranking, top and bottom: <one> is the most stable and <two> is the least stable.